1.
{"formula": "V3Cr3B8", "functional": "PBE-GGA", "state": "optimized geometry", "space_group": "Pmm2", "crystal_system": "orthorhombic", "cell": [[2.966, 0.000, 0.000], [0.000, 2.987, 0.000], [0.000, 0.000, 13.082]], "species": ["V", "V", "V", "Cr", "Cr", "Cr", "B", "B", "B", "B", "B", "B", "B", "B"], "frac_coords": [[0.000, 0.000, 0.000], [0.000, 0.500, 0.312], [0.500, 0.500, 0.502], [0.000, 0.500, 0.688], [0.500, 0.000, 0.189], [0.500, 0.000, 0.814], [0.000, 0.000, 0.436], [0.000, 0.000, 0.569], [0.000, 0.500, 0.138], [0.000, 0.500, 0.861], [0.500, 0.000, 0.364], [0.500, 0.000, 0.642], [0.500, 0.500, 0.067], [0.500, 0.500, 0.934]]}

2.
{"formula": "Na8PtO6", "functional": "PBE-GGA", "state": "optimized geometry", "magnetic_moment_mub_per_fu": 0.184, "space_group": "P1", "crystal_system": "triclinic", "de_polymorph_mev_per_atom": 0.0, "cell": [[4.503, 0.000, 0.000], [-0.001, 6.936, 0.000], [-0.072, -0.008, 6.949]], "species": ["Na", "Na", "Na", "Na", "Na", "Na", "Na", "Na", "Pt", "O", "O", "O", "O", "O", "O"], "frac_coords": [[0.000, 0.000, 0.000], [0.000, 0.442, 0.109], [0.524, 0.485, 0.413], [0.525, 0.855, 0.623], [0.527, 0.063, 0.253], [0.530, 0.695, 0.044], [0.996, 0.100, 0.551], [0.998, 0.555, 0.662], [0.493, 0.275, 0.832], [0.492, 0.180, 0.549], [0.496, 0.556, 0.739], [0.496, 0.993, 0.927], [0.498, 0.369, 0.115], [0.853, 0.777, 0.342], [0.996, 0.275, 0.828]]}

What are the calculated formation energy values for these records? In order: -64.14; -128.79 kJ per mole of atoms.
What are the total DFT energy (no corrections) values for these records? In order: -119.0; -62.2 eV per cell.